First-principles (PBE+U) data for Mn5P8O28 after structural relaxation, as listed in the Materials Project.

Cell: 9.5942 10.4823 13.0015 Å, 80.61 72.27 65.40°
Closest atoms and distances in Å follow each position.
Fractional positions:
Mn1 0.1063 0.2881 0.1042  5 O 1.87-2.03
Mn2 0.1109 0.2935 0.6169  5 O 1.91-2.03
Mn3 0.2422 0.7518 0.4429  5 O 1.90-2.10
Mn4 0.2630 0.7513 0.9311  5 O 1.94-2.05
Mn5 0.3093 0.9961 0.2432  3 O 1.91-1.97
Mn6 0.6907 0.0039 0.7568  3 O 1.91-1.97
Mn7 0.7370 0.2487 0.0689  5 O 1.94-2.05
Mn8 0.7578 0.2482 0.5571  5 O 1.90-2.10
Mn9 0.8891 0.7065 0.3831  5 O 1.91-2.03
Mn10 0.8937 0.7119 0.8958  5 O 1.87-2.03
P1 0.1395 0.7952 0.7016  4 O 1.50-1.63
P2 0.1420 0.0429 0.5472  4 O 1.52-1.60
P3 0.1504 0.0439 0.0368  4 O 1.51-1.60
P4 0.1518 0.8114 0.1831  4 O 1.50-1.63
P5 0.2126 0.4600 0.3991  4 O 1.52-1.61
P6 0.2354 0.4650 0.8994  4 O 1.52-1.60
P7 0.3575 0.2861 0.2060  4 O 1.49-1.60
P8 0.4093 0.2837 0.7131  4 O 1.50-1.64
P9 0.5907 0.7163 0.2869  4 O 1.50-1.64
P10 0.6425 0.7139 0.7940  4 O 1.49-1.60
P11 0.7646 0.5350 0.1006  4 O 1.52-1.60
P12 0.7874 0.5400 0.6009  4 O 1.52-1.61
P13 0.8482 0.1886 0.8169  4 O 1.50-1.63
P14 0.8496 0.9561 0.9632  4 O 1.51-1.60
P15 0.8580 0.9571 0.4528  4 O 1.52-1.60
P16 0.8605 0.2048 0.2984  4 O 1.50-1.63
O1 0.0051 0.8258 0.4682  1 P 1.55
O2 0.0240 0.1940 0.0254  1 P 1.55
O3 0.0276 0.7583 0.2499  1 P 1.50
O4 0.0327 0.2026 0.2422  1 P 1.58
O5 0.0476 0.5183 0.3787  1 P 1.53
O6 0.0598 0.9668 0.1332  2 P 1.60-1.63
O7 0.0759 0.5439 0.8690  1 P 1.55
O8 0.0815 0.9555 0.6507  2 P 1.60-1.63
O9 0.2016 0.3641 0.1694  1 P 1.56
O10 0.2202 0.9561 0.9387  1 P 1.51
O11 0.2215 0.9480 0.4485  1 P 1.55
O12 0.2289 0.3326 0.9685  1 P 1.54
O13 0.2306 0.7012 0.6076  1 P 1.50
O14 0.2319 0.7774 0.7832  1 P 1.52
O15 0.2356 0.3368 0.4819  1 P 1.53
O16 0.2393 0.8409 0.2548  1 P 1.57
O17 0.2490 0.3083 0.7021  1 P 1.50
O18 0.2505 0.0952 0.5771  1 P 1.52
O19 0.2660 0.5691 0.4188  1 P 1.52
O20 0.2669 0.0776 0.0815  1 P 1.58
O21 0.2673 0.7269 0.0853  1 P 1.52
O22 0.2835 0.5579 0.9481  1 P 1.52
O23 0.3433 0.3888 0.2906  2 P 1.60-1.61
O24 0.3566 0.1468 0.2674  1 P 1.55
O25 0.3759 0.4045 0.7937  2 P 1.60-1.64
O26 0.4719 0.6948 0.3898  1 P 1.52
O27 0.4772 0.1383 0.7715  1 P 1.56
O28 0.4970 0.7244 0.8829  1 P 1.49
O29 0.5030 0.2756 0.1171  1 P 1.49
O30 0.5228 0.8617 0.2285  1 P 1.56
O31 0.5281 0.3052 0.6102  1 P 1.52
O32 0.6241 0.5955 0.2063  2 P 1.60-1.64
O33 0.6434 0.8532 0.7326  1 P 1.55
O34 0.6567 0.6112 0.7094  2 P 1.60-1.61
O35 0.7165 0.4421 0.0519  1 P 1.52
O36 0.7327 0.2731 0.9147  1 P 1.52
O37 0.7331 0.9224 0.9185  1 P 1.58
O38 0.7340 0.4309 0.5812  1 P 1.52
O39 0.7495 0.9048 0.4229  1 P 1.52
O40 0.7510 0.6917 0.2979  1 P 1.50
O41 0.7607 0.1591 0.7452  1 P 1.57
O42 0.7644 0.6632 0.5181  1 P 1.53
O43 0.7681 0.2226 0.2168  1 P 1.52
O44 0.7694 0.2988 0.3924  1 P 1.50
O45 0.7711 0.6674 0.0315  1 P 1.54
O46 0.7785 0.0520 0.5515  1 P 1.55
O47 0.7798 0.0439 0.0613  1 P 1.51
O48 0.7984 0.6359 0.8306  1 P 1.56
O49 0.9185 0.0445 0.3493  2 P 1.60-1.63
O50 0.9241 0.4561 0.1310  1 P 1.55
O51 0.9402 0.0332 0.8668  2 P 1.60-1.63
O52 0.9524 0.4817 0.6213  1 P 1.53
O53 0.9673 0.7974 0.7578  1 P 1.58
O54 0.9724 0.2417 0.7501  1 P 1.50
O55 0.9760 0.8060 0.9746  1 P 1.55
O56 0.9949 0.1742 0.5318  1 P 1.55

Properties
**Spin magnetization**: 19.00 μB/f.u.
**Symmetry**: P-1, No. 2
**VASP energy**: -598.3 eV for the cell shown